This record from the Materials Project describes CdFe2O4 after structural relaxation. The functional is PBE+U.

Results
Excess energy over the best structure of this formula in the dataset, meV/atom: 34.4
Final energy, eV/atom: -5.930

```
84
Lattice="6.240 0.000 0.000 -3.120 5.404 0.000 0.000 0.000 30.748" Properties=species:S:1:pos:R:3 pbc="T T T"
Cd 0.000 0.000 0.000
Cd 0.000 0.000 3.734
Cd 0.000 0.000 9.622
Cd 0.000 0.000 15.303
Cd 0.000 0.000 19.189
Cd 0.000 3.602 4.388
Cd 0.000 3.602 14.048
Cd 0.000 3.602 25.573
Cd 0.000 3.602 29.366
Cd 3.120 1.801 8.874
Cd 3.120 1.801 20.453
Cd 3.120 1.801 24.314
Fe 0.000 0.000 24.948
Fe -1.554 2.705 17.266
Fe -1.547 2.709 1.819
Fe 0.000 1.765 6.992
Fe -1.591 4.521 6.992
Fe 0.000 1.798 22.381
Fe -1.563 4.505 22.381
Fe 1.559 0.900 27.500
Fe 0.000 3.602 10.244
Fe 0.000 3.602 19.832
Fe 1.592 0.919 12.163
Fe 1.547 2.709 1.819
Fe 1.554 2.705 17.266
Fe 0.000 5.389 1.819
Fe 0.000 5.396 17.266
Fe 3.120 1.801 5.145
Fe 3.120 1.801 14.749
Fe 3.120 1.801 30.041
Fe 1.563 4.505 22.381
Fe 1.591 4.521 6.992
Fe 4.647 0.919 12.163
Fe 3.120 3.565 12.163
Fe 4.681 0.900 27.500
Fe 3.120 3.604 27.500
O 0.000 0.000 5.923
O 0.000 0.000 13.075
O 0.000 0.000 21.356
O 0.000 0.000 28.525
O -1.531 2.718 5.888
O -1.343 2.827 21.171
O 0.000 1.550 26.293
O -1.778 4.629 26.293
O 0.000 1.825 11.061
O -1.539 4.491 11.061
O 0.000 1.949 2.824
O -1.432 4.429 2.824
O 0.000 2.049 18.438
O -1.345 4.379 18.438
O 1.347 0.777 23.554
O 1.401 0.809 8.052
O 0.000 3.602 0.773
O 0.000 3.602 8.231
O 0.000 3.602 16.230
O 0.000 3.602 23.380
O 1.766 1.020 16.064
O 1.803 1.041 0.650
O 1.343 2.827 21.171
O 0.000 5.153 21.171
O 1.531 2.718 5.888
O 0.000 5.371 5.888
O 3.120 0.250 28.662
O 1.776 2.577 28.662
O 3.120 0.267 13.362
O 1.792 2.568 13.362
O 1.345 4.379 18.438
O 1.432 4.429 2.824
O 1.539 4.491 11.061
O 3.120 1.801 3.163
O 3.120 1.801 11.107
O 3.120 1.801 18.259
O 3.120 1.801 26.475
O 1.778 4.629 26.293
O 4.437 1.041 0.650
O 3.120 3.322 0.650
O 4.473 1.020 16.064
O 3.120 3.364 16.064
O 4.839 0.809 8.052
O 3.120 3.786 8.052
O 4.893 0.777 23.554
O 3.120 3.849 23.554
O 4.448 2.568 13.362
O 4.463 2.577 28.662
```

This record from the Materials Project describes MgFe6O6F6 after structural relaxation. The functional is PBE+U.

Results
Excess energy over the best structure of this formula in the dataset, meV/atom: 12.2
Final energy, eV/atom: -5.982

```
19
Lattice="3.088 0.000 0.000 -0.027 5.188 0.000 -0.049 -1.708 14.258" Properties=species:S:1:pos:R:3 pbc="T T T"
Mg 0.000 0.000 0.000
Fe 0.066 0.400 2.815
Fe 0.038 0.270 11.446
Fe 0.085 -0.237 7.288
Fe 1.558 2.509 0.267
Fe 1.608 2.659 5.065
Fe 1.594 2.634 9.398
O 0.015 0.034 13.336
O 0.065 1.841 3.967
O 0.062 3.576 5.866
O 1.600 0.764 1.475
O 1.582 1.130 10.844
O 1.628 -0.928 8.223
F 0.055 1.524 8.419
F 0.041 3.663 10.723
F 1.471 2.646 13.406
F 1.583 4.468 3.602
F 1.615 0.920 6.243
F 3.056 3.608 1.277
```

This record from the Materials Project describes Cu3Mo2H2O10 after structural relaxation. The functional is PBE+U.

Results
Excess energy over the best structure of this formula in the dataset, meV/atom: 0.0
Final energy, eV/atom: -5.968

```
34
Lattice="5.470 0.000 0.000 0.000 14.205 0.000 -4.734 0.000 5.662" Properties=species:S:1:pos:R:3 pbc="T T T"
Cu 0.000 0.000 0.000
Cu -2.367 7.102 2.831
Cu -0.352 1.367 2.892
Cu 2.015 5.736 0.061
Cu -1.279 8.469 5.601
Cu 1.088 12.838 2.770
Mo 0.514 9.289 2.141
Mo -1.853 12.019 4.972
Mo 2.589 2.186 0.690
Mo 0.222 4.916 3.521
H -3.694 7.927 4.869
H -1.327 13.381 2.038
H 2.063 0.824 3.624
H 4.430 6.278 0.793
O -0.220 8.919 0.516
O -2.587 12.389 3.347
O -2.823 7.485 4.743
O -0.456 13.822 1.912
O 0.871 1.603 0.671
O -1.496 5.500 3.502
O -0.387 8.404 3.388
O 1.980 12.904 0.557
O -1.946 10.262 5.302
O 0.421 11.045 2.471
O 0.315 3.160 3.191
O 2.682 3.943 0.360
O -1.244 1.301 5.105
O 1.123 5.801 2.274
O 2.232 8.705 2.160
O -0.135 12.602 4.991
O 1.192 0.383 3.750
O 3.559 6.720 0.919
O 3.322 1.816 2.315
O 0.955 5.286 5.146
```

This record from the Materials Project describes Rb17Fe5O16 after structural relaxation. The functional is PBE+U.

Results
Final energy, eV/atom: -4.606

```
38
Lattice="3.557 -18.832 0.000 3.557 18.832 0.000 -3.514 0.000 6.199" Properties=species:S:1:pos:R:3 pbc="T T T"
Rb -2.484 0.000 4.386
Rb 3.557 15.620 0.000
Rb 1.032 12.476 4.492
Rb 1.181 8.499 3.582
Rb 3.504 8.793 0.755
Rb 1.161 5.149 3.697
Rb 3.391 5.225 0.862
Rb 1.231 1.720 3.591
Rb 3.420 1.743 0.742
Rb 1.231 -1.720 3.591
Rb 3.420 -1.743 0.742
Rb 1.161 -5.149 3.697
Rb 1.181 -8.499 3.582
Rb 3.391 -5.225 0.862
Rb 3.504 -8.793 0.755
Rb 1.032 -12.476 4.492
Rb 3.557 -15.620 0.000
Fe 1.788 15.471 3.118
Fe 2.833 12.114 1.302
Fe 2.833 -12.114 1.302
Fe 1.788 -15.471 3.118
Fe 6.392 0.000 1.264
O 2.281 17.200 2.246
O 1.178 6.971 1.192
O 2.430 13.964 2.022
O -0.912 3.463 4.812
O 2.146 10.810 2.534
O 1.170 0.000 1.153
O -0.912 -3.463 4.812
O 1.178 -6.971 1.192
O 2.004 6.944 5.810
O 3.455 3.471 3.236
O 2.009 0.000 5.775
O 2.146 -10.810 2.534
O 3.455 -3.471 3.236
O 2.430 -13.964 2.022
O 2.004 -6.944 5.810
O 2.281 -17.200 2.246
```

Number 1: E_form -1.59 eV per atom, energy with MP2020 corrections -6.967 eV per atom. Number 2: E_form -2.13 eV per atom, energy with MP2020 corrections -7.058 eV per atom. Number 3: E_form -1.44 eV per atom, energy with MP2020 corrections -6.748 eV per atom. Number 4: E_form -1.56 eV per atom, energy with MP2020 corrections -5.192 eV per atom.